[1]
NaCaTiPS2O12: relaxed, PBE.

```
data_NaCaTiPS2O12
_symmetry_space_group_name_H-M 'C 1 c 1'
_symmetry_Int_Tables_number 9
_cell_length_a 15.479
_cell_length_b 8.970
_cell_length_c 22.639
_cell_angle_alpha 90.00
_cell_angle_beta 90.66
_cell_angle_gamma 90.00
loop_
_symmetry_equiv_pos_as_xyz
'x,y,z'
'x,-y,z+1/2'
'x+1/2,y+1/2,z'
'x+1/2,-y+1/2,z+1/2'
loop_
_atom_site_label
_atom_site_fract_x
_atom_site_fract_y
_atom_site_fract_z
_atom_site_occupancy
Na1 0.000 0.006 0.000 1
Na2 0.182 0.493 0.165 1
Na3 0.349 0.010 0.331 1
Ca1 0.004 0.001 0.142 1
Ca2 0.174 0.495 0.308 1
Ca3 0.341 0.001 0.476 1
Ti1 0.001 0.026 0.850 1
Ti2 0.172 0.496 0.516 1
Ti3 0.339 0.010 0.682 1
P1 0.032 0.346 0.913 1
P2 0.328 0.295 0.579 1
P3 0.363 0.328 0.244 1
S1 0.159 0.131 0.748 1
S2 0.159 0.205 0.416 1
S3 0.199 0.164 0.081 1
S4 0.327 0.374 0.915 1
S5 0.494 0.128 0.082 1
S6 0.495 0.208 0.747 1
O1 0.007 0.209 0.193 1
O2 0.016 0.215 0.590 1
O3 0.032 0.165 0.908 1
O4 0.063 0.404 0.253 1
O5 0.072 0.402 0.857 1
O6 0.074 0.127 0.416 1
O7 0.077 0.461 0.579 1
O8 0.092 0.385 0.969 1
O9 0.111 0.072 0.802 1
O10 0.111 0.110 0.087 1
O11 0.112 0.100 0.694 1
O12 0.158 0.314 0.469 1
O13 0.170 0.290 0.363 1
O14 0.178 0.290 0.754 1
O15 0.199 0.333 0.080 1
O16 0.229 0.098 0.422 1
O17 0.237 0.109 0.027 1
O18 0.239 0.385 0.575 1
O19 0.245 0.046 0.747 1
O20 0.254 0.121 0.135 1
O21 0.271 0.382 0.253 1
O22 0.279 0.402 0.861 1
O23 0.280 0.435 0.969 1
O24 0.321 0.182 0.636 1
O25 0.337 0.202 0.525 1
O26 0.345 0.216 0.922 1
O27 0.365 0.154 0.241 1
O28 0.400 0.408 0.586 1
O29 0.406 0.396 0.193 1
O30 0.409 0.123 0.742 1
O31 0.412 0.458 0.913 1
O32 0.424 0.373 0.303 1
O33 0.439 0.107 0.419 1
O34 0.445 0.066 0.135 1
O35 0.445 0.109 0.028 1
O36 0.487 0.306 0.801 1
```

Summary:
Energy relative to the elements in kJ/mol of formula units: -4451
Magnetic moment in μB/f.u.: 0.0
DFT total energy in eV/atom: -6.787
Calculated volume in Å³ per cell: 3143.15
Crystal system: monoclinic

=====

[2]
Na5Ca3TiP3S3O24: relaxed, PBE.

```
data_Na5Ca3TiP3S3O24
_symmetry_space_group_name_H-M 'P 1'
_symmetry_Int_Tables_number 1
_cell_length_a 9.206
_cell_length_b 9.217
_cell_length_c 23.077
_cell_angle_alpha 89.98
_cell_angle_beta 89.60
_cell_angle_gamma 60.31
loop_
_symmetry_equiv_pos_as_xyz
'x,y,z'
loop_
_atom_site_label
_atom_site_fract_x
_atom_site_fract_y
_atom_site_fract_z
_atom_site_occupancy
Na1 0.000 0.000 0.000 1
Na2 0.003 0.732 0.496 1
Na3 0.033 0.346 0.237 1
Na4 0.050 0.016 0.321 1
Na5 0.058 0.341 0.751 1
Na6 0.342 0.690 0.908 1
Na7 0.353 0.694 0.408 1
Na8 0.392 0.360 0.990 1
Na9 0.651 0.354 0.492 1
Na10 0.657 0.720 0.991 1
Na11 0.660 0.689 0.324 1
Na12 0.665 0.032 0.589 1
Na13 0.670 0.381 0.835 1
Na14 0.693 0.026 0.085 1
Na15 0.711 0.690 0.673 1
Ca1 0.007 0.359 0.102 1
Ca2 0.023 0.349 0.599 1
Ca3 0.336 0.695 0.765 1
Ca4 0.338 0.694 0.070 1
Ca5 0.344 0.686 0.260 1
Ca6 0.349 0.699 0.561 1
Ca7 0.669 0.026 0.428 1
Ca8 0.671 0.030 0.740 1
Ca9 0.680 0.022 0.924 1
Ti1 0.003 0.385 0.895 1
Ti2 0.009 0.370 0.387 1
Ti3 0.683 0.030 0.235 1
P1 0.014 0.653 0.997 1
P2 0.025 0.003 0.170 1
P3 0.362 0.336 0.837 1
P4 0.376 0.038 0.330 1
P5 0.686 0.707 0.833 1
P6 0.690 0.321 0.335 1
P7 0.723 0.361 0.994 1
P8 0.731 0.638 0.493 1
P9 0.970 0.729 0.334 1
S1 0.014 0.067 0.491 1
S2 0.034 0.699 0.660 1
S3 0.299 0.366 0.492 1
S4 0.301 0.069 0.995 1
S5 0.354 0.992 0.665 1
S6 0.366 0.365 0.166 1
S7 0.648 0.388 0.662 1
S8 0.654 0.712 0.169 1
S9 0.987 0.043 0.836 1
O1 0.008 0.159 0.543 1
O2 0.013 0.548 0.663 1
O3 0.016 0.541 0.942 1
O4 0.025 0.154 0.437 1
O5 0.088 0.906 0.112 1
O6 0.114 0.703 0.604 1
O7 0.133 0.911 0.222 1
O8 0.135 0.695 0.709 1
O9 0.144 0.704 0.323 1
O10 0.156 0.899 0.828 1
O11 0.160 0.893 0.490 1
O12 0.180 0.659 0.993 1
O13 0.184 0.351 0.846 1
O14 0.197 0.204 0.338 1
O15 0.198 0.161 0.944 1
O16 0.199 0.366 0.440 1
O17 0.209 0.163 0.664 1
O18 0.222 0.338 0.164 1
O19 0.224 0.352 0.546 1
O20 0.228 0.162 0.049 1
O21 0.301 0.529 0.490 1
O22 0.312 0.901 0.997 1
O23 0.341 0.512 0.830 1
O24 0.342 0.891 0.321 1
O25 0.346 0.476 0.215 1
O26 0.346 0.904 0.716 1
O27 0.362 0.899 0.611 1
O28 0.390 0.432 0.110 1
O29 0.441 0.225 0.784 1
O30 0.468 0.261 0.892 1
O31 0.475 0.061 0.279 1
O32 0.475 0.229 0.489 1
O33 0.476 0.041 0.991 1
O34 0.479 0.999 0.385 1
O35 0.514 0.999 0.665 1
O36 0.524 0.199 0.176 1
O37 0.543 0.665 0.829 1
O38 0.550 0.527 0.994 1
O39 0.556 0.489 0.713 1
O40 0.556 0.502 0.324 1
O41 0.557 0.469 0.608 1
O42 0.558 0.730 0.115 1
O43 0.562 0.640 0.487 1
O44 0.569 0.693 0.221 1
O45 0.664 0.870 0.176 1
O46 0.666 0.257 0.393 1
O47 0.666 0.807 0.888 1
O48 0.672 0.217 0.665 1
O49 0.695 0.208 0.988 1
O50 0.713 0.194 0.285 1
O51 0.713 0.781 0.777 1
O52 0.716 0.811 0.489 1
O53 0.813 0.383 0.662 1
O54 0.824 0.371 0.938 1
O55 0.824 0.554 0.549 1
O56 0.825 0.569 0.166 1
O57 0.828 0.337 0.047 1
O58 0.838 0.829 0.284 1
O59 0.845 0.521 0.439 1
O60 0.847 0.013 0.185 1
O61 0.853 0.527 0.840 1
O62 0.858 0.054 0.491 1
O63 0.861 0.830 0.991 1
O64 0.862 0.849 0.662 1
O65 0.866 0.322 0.337 1
O66 0.874 0.067 0.787 1
O67 0.904 0.818 0.391 1
O68 0.914 0.023 0.890 1
O69 0.978 0.550 0.336 1
O70 0.992 0.182 0.168 1
O71 0.997 0.201 0.838 1
O72 0.998 0.568 0.050 1
```

Summary:
Energy relative to the elements in kJ/mol of formula units: -10066
Magnetic moment in μB/f.u.: 0.0
DFT total energy in eV/atom: -6.558
Calculated volume in Å³ per cell: 1700.87
Crystal system: triclinic

=====

[3]
Na3Ca3TiPS5O24: relaxed, PBE.

```
data_Na3Ca3TiPS5O24
_symmetry_space_group_name_H-M 'P 1'
_symmetry_Int_Tables_number 1
_cell_length_a 9.059
_cell_length_b 9.118
_cell_length_c 23.556
_cell_angle_alpha 89.97
_cell_angle_beta 89.92
_cell_angle_gamma 60.35
loop_
_symmetry_equiv_pos_as_xyz
'x,y,z'
loop_
_atom_site_label
_atom_site_fract_x
_atom_site_fract_y
_atom_site_fract_z
_atom_site_occupancy
Na1 0.000 0.000 0.000 1
Na2 0.002 0.302 0.417 1
Na3 0.301 0.671 0.577 1
Na4 0.321 0.649 0.083 1
Na5 0.629 0.017 0.247 1
Na6 0.635 0.013 0.741 1
Na7 0.675 0.667 0.331 1
Na8 0.938 0.666 0.826 1
Na9 0.971 0.335 0.918 1
Ca1 0.299 0.672 0.435 1
Ca2 0.320 0.660 0.932 1
Ca3 0.626 0.011 0.894 1
Ca4 0.634 0.001 0.100 1
Ca5 0.634 0.016 0.399 1
Ca6 0.642 0.001 0.600 1
Ca7 0.974 0.324 0.764 1
Ca8 0.974 0.345 0.071 1
Ca9 0.984 0.322 0.264 1
Ti1 0.302 0.679 0.233 1
Ti2 0.312 0.658 0.720 1
Ti3 0.959 0.352 0.570 1
P1 0.310 0.956 0.330 1
P2 0.674 0.345 0.665 1
P3 0.982 0.623 0.668 1
S1 0.014 0.671 0.328 1
S2 0.022 0.949 0.829 1
S3 0.262 0.031 0.665 1
S4 0.280 0.350 0.168 1
S5 0.308 0.384 0.825 1
S6 0.322 0.303 0.503 1
S7 0.332 0.004 0.998 1
S8 0.589 0.385 0.327 1
S9 0.597 0.669 0.825 1
S10 0.646 0.298 0.999 1
S11 0.653 0.687 0.501 1
S12 0.657 0.639 0.171 1
S13 0.938 0.703 0.995 1
S14 0.941 0.019 0.503 1
S15 0.985 0.016 0.166 1
O1 0.004 0.498 0.616 1
O2 0.016 0.081 0.112 1
O3 0.107 0.694 0.994 1
O4 0.107 0.875 0.883 1
O5 0.108 0.651 0.380 1
O6 0.114 0.677 0.277 1
O7 0.115 0.872 0.498 1
O8 0.122 0.840 0.779 1
O9 0.143 0.844 0.176 1
O10 0.148 0.318 0.513 1
O11 0.151 0.117 0.615 1
O12 0.152 0.371 0.822 1
O13 0.157 0.131 0.325 1
O14 0.157 0.156 0.001 1
O15 0.157 0.631 0.673 1
O16 0.181 0.377 0.116 1
O17 0.193 0.125 0.717 1
O18 0.194 0.326 0.217 1
O19 0.272 0.858 0.671 1
O20 0.292 0.479 0.877 1
O21 0.295 0.506 0.176 1
O22 0.297 0.476 0.498 1
O23 0.301 0.867 0.383 1
O24 0.308 0.853 0.997 1
O25 0.312 0.837 0.277 1
O26 0.318 0.481 0.774 1
O27 0.390 0.207 0.450 1
O28 0.415 0.017 0.946 1
O29 0.430 0.991 0.050 1
O30 0.432 0.218 0.551 1
O31 0.436 0.000 0.657 1
O32 0.452 0.201 0.164 1
O33 0.462 0.216 0.824 1
O34 0.481 0.481 0.277 1
O35 0.483 0.654 0.178 1
O36 0.484 0.951 0.325 1
O37 0.492 0.674 0.775 1
O38 0.494 0.518 0.672 1
O39 0.497 0.469 0.997 1
O40 0.509 0.655 0.497 1
O41 0.512 0.477 0.380 1
O42 0.519 0.658 0.879 1
O43 0.607 0.215 0.327 1
O44 0.613 0.825 0.824 1
O45 0.630 0.799 0.548 1
O46 0.631 0.212 0.050 1
O47 0.632 0.810 0.165 1
O48 0.635 0.204 0.655 1
O49 0.662 0.198 0.947 1
O50 0.685 0.749 0.446 1
O51 0.732 0.535 0.119 1
O52 0.757 0.375 0.322 1
O53 0.759 0.559 0.222 1
O54 0.772 0.522 0.824 1
O55 0.773 0.320 0.719 1
O56 0.773 0.370 0.613 1
O57 0.807 0.307 0.002 1
O58 0.814 0.515 0.512 1
O59 0.838 0.800 0.657 1
O60 0.838 0.989 0.163 1
O61 0.844 0.047 0.449 1
O62 0.845 0.781 0.941 1
O63 0.846 0.810 0.045 1
O64 0.846 0.829 0.328 1
O65 0.853 0.955 0.827 1
O66 0.856 0.994 0.551 1
O67 0.956 0.177 0.512 1
O68 0.959 0.531 0.000 1
O69 0.962 0.128 0.214 1
O70 0.962 0.551 0.723 1
O71 0.984 0.526 0.322 1
O72 0.998 0.121 0.825 1
```

Summary:
Energy relative to the elements in kJ/mol of formula units: -9013
Magnetic moment in μB/f.u.: 0.0
DFT total energy in eV/atom: -6.477
Calculated volume in Å³ per cell: 1691.00
Crystal system: triclinic